This record from the Materials Project database describes a relaxed MnPd3 crystal. The functional is GGA-PBE.

Output
Calculated density   10.19 g/cm3
SG   I4/mmm
Formation energy from the elements   -88 kJ/mol of formula units

Unit cell a=3.939 b=3.939 c=15.714 alpha=90.00 beta=90.00 gamma=90.00
Fractional positions:
Mn 0.000 0.000 0.124
Mn 0.000 0.000 0.876
Mn 0.500 0.500 0.376
Mn 0.500 0.500 0.624
Pd 0.000 0.000 0.375
Pd 0.000 0.000 0.625
Pd 0.000 0.500 0.000
Pd 0.000 0.500 0.250
Pd 0.000 0.500 0.500
Pd 0.000 0.500 0.750
Pd 0.500 0.000 0.000
Pd 0.500 0.000 0.250
Pd 0.500 0.000 0.500
Pd 0.500 0.000 0.750
Pd 0.500 0.500 0.125
Pd 0.500 0.500 0.875